No. 1
# MnCrF5

An optimized crystal structure of MnCrF5 (PBE with a Hubbard U, the Materials Project).

calculated volume: 13.647 Å³ per atom
DFT total energy: -6.20 eV per atom
ΔH_f (0 K): -2.999 eV per atom

abc: 5.4342 5.4342 7.5195
angles: 69.70 69.70 72.36
With the nearest neighbours (Å) after each atom.
Fractional coordinates of all 14 atoms:
F 0.2809 0.6836 0.4650  1 Cr 1.95, 1 Mn 2.16
F 0.9053 0.0947 0.2500  2 Cr 1.98
F 0.6836 0.2809 0.9650  1 Cr 1.95, 1 Mn 2.16
F 0.7260 0.7910 0.6283  1 Cr 1.93, 1 Mn 2.05
F 0.3164 0.7191 0.0350  1 Cr 1.95, 1 Mn 2.16
F 0.2740 0.2090 0.3717  1 Cr 1.93, 1 Mn 2.05
F 0.0947 0.9053 0.7500  2 Cr 1.98
F 0.2090 0.2740 0.8717  1 Cr 1.93, 1 Mn 2.05
F 0.7910 0.7260 0.1283  1 Cr 1.93, 1 Mn 2.05
F 0.7191 0.3164 0.5350  1 Cr 1.95, 1 Mn 2.16
Cr 0.0000 0.0000 0.0000  6 F 1.93-1.98
Cr 0.0000 0.0000 0.5000  6 F 1.93-1.98
Mn 0.5332 0.4668 0.2500  4 F 2.05-2.16
Mn 0.4668 0.5332 0.7500  4 F 2.05-2.16

***

No. 2
# Li9Mn2Co5O16

An optimized crystal structure of Li9Mn2Co5O16 (PBE with a Hubbard U, the Materials Project).

total moment: 10.0 μB per formula unit
calculated volume: 8.976 Å³ per atom
DFT total energy: -5.80 eV per atom
offset from the most stable computed form: 56 meV per atom
ΔH_f (0 K): -1.808 eV per atom

abc: 2.9665 6.4575 15.4151
angles: 88.33 86.99 76.96
With the nearest neighbours (Å) after each atom.
Fractional coordinates of all 32 atoms:
Co 0.5048 0.0091 0.5044  2 O 1.74-1.86
Co 0.7441 0.5036 0.2507  6 O 1.93-2.10
Co 0.1228 0.7495 0.3762  4 O 1.90-1.95
Co 0.3814 0.2538 0.1273  4 O 1.92-1.96
Co 0.6096 0.7576 0.8726  6 O 1.96-2.13
Mn 0.9905 0.0016 0.0017  4 O 1.93-2.00
Mn 0.2564 0.4871 0.7451  5 O 1.82-2.01
O 0.1442 0.6999 0.9632  1 Mn 2.00, 2 Co 2.00-2.13, 2 Li 2.08-2.13
O 0.0719 0.9363 0.5845  1 Co 1.86, 2 Li 2.03-2.04
O 0.7440 0.5549 0.6671  2 Mn 1.95, 3 Li 2.08-2.14
O 0.4210 0.0562 0.9100  1 Mn 1.93, 1 Co 1.98, 1 Li 2.07
O 0.9374 0.2060 0.2176  2 Co 1.93-1.95, 2 Li 2.12-2.13
O 0.9545 0.0390 0.4094  2 Co 1.90-1.96
O 0.6757 0.7115 0.4661  2 Co 1.92-1.97, 1 Li 2.12
O 0.0900 0.7948 0.7855  2 Co 1.96-2.07, 1 Mn 2.04, 2 Li 2.12-2.19
O 0.3617 0.2802 0.5240  1 Co 1.74
O 0.2580 0.4570 0.3423  3 Co 1.92-2.10, 1 Li 2.05
O 0.8177 0.3028 0.0362  1 Co 1.93, 1 Mn 1.98, 2 Li 2.05-2.12
O 0.5519 0.9547 0.0951  1 Mn 1.95, 1 Co 1.96, 3 Li 2.11-2.17
O 0.5659 0.7975 0.2846  2 Co 1.93-1.95, 2 Li 2.10-2.12
O 0.2432 0.5472 0.1596  3 Co 1.92-2.07, 2 Li 2.05-2.14
O 0.7522 0.4517 0.8320  2 Mn 2.00-2.01, 1 Co 2.03, 2 Li 2.09-2.16
O 0.4029 0.2048 0.7205  1 Mn 1.82, 2 Li 2.03
Li 0.0643 0.8788 0.1886  6 O 2.11-2.17
Li 0.6937 0.6192 0.0641  6 O 2.05-2.28
Li 0.3193 0.3747 0.9396  5 O 2.07-2.17
Li 0.4401 0.1221 0.3140  6 O 2.10-2.18
Li 0.1799 0.6207 0.5608  5 O 2.03-2.22
Li 0.8229 0.3698 0.4367  6 O 2.03-2.24
Li 0.9245 0.1272 0.8064  6 O 2.03-2.24
Li 0.8985 0.2394 0.6288  5 O 2.03-2.11
Li 0.5551 0.8913 0.6852  6 O 2.06-2.25

***

No. 3
# VO2F

An optimized crystal structure of VO2F (PBE with a Hubbard U, the Materials Project).

calculated volume: 12.564 Å³ per atom
DFT total energy: -6.79 eV per atom
ΔH_f (0 K): -2.447 eV per atom

abc: 5.1739 5.1739 13.0070
angles: 90.00 90.00 120.00
With the nearest neighbours (Å) after each atom.
Fractional coordinates of all 24 atoms:
O 0.6659 0.2522 0.2471  1 V 1.66
O 0.0056 0.7606 0.4165  1 V 1.69
O 0.4253 0.3395 0.4149  1 V 1.68
O 0.7478 0.4137 0.5804  1 V 1.66
O 0.2544 0.6710 0.2508  2 V 1.74-1.90
O 0.3290 0.5834 0.5841  2 V 1.74-1.90
O 0.7549 0.9944 0.0832  1 V 1.69
O 0.4166 0.7456 0.9174  2 V 1.74-1.90
O 0.9142 0.5747 0.0815  1 V 1.68
O 0.5863 0.3341 0.9138  1 V 1.66
O 0.2394 0.2451 0.7499  1 V 1.69
O 0.6605 0.0858 0.7482  1 V 1.68
V 0.0517 0.3474 0.6691  2 O 1.69-1.74, 1 F 1.88
V 0.6406 0.5972 0.5022  2 O 1.66-1.68
V 0.4028 0.0434 0.8355  2 O 1.66-1.68
V 0.9566 0.3594 0.1689  2 O 1.66-1.68
V 0.6526 0.7043 0.0025  2 O 1.69-1.74, 1 F 1.88
V 0.2957 0.9483 0.3358  2 O 1.69-1.74, 1 F 1.88
F 0.0688 0.6588 0.7494  1 V 1.88
F 0.5901 0.9312 0.4161  1 V 1.88
F 0.0888 0.0798 0.2500  1 V 1.89
F 0.3412 0.4099 0.0827  1 V 1.88
F 0.9202 0.0090 0.5833  1 V 1.89
F 0.9910 0.9112 0.9166  1 V 1.89